# Er2Au

Er2Au after structural relaxation (PBE-GGA, the Materials Project).

POSCAR file:
```
Er2Au
1.0
7.089 0.000 0.000
0.000 4.893 0.000
0.000 0.000 8.899
Er Au
8 4
direct
0.018 0.250 0.179 Er
0.152 0.250 0.575 Er
0.348 0.750 0.075 Er
0.482 0.750 0.679 Er
0.518 0.250 0.321 Er
0.652 0.250 0.925 Er
0.848 0.750 0.425 Er
0.982 0.750 0.821 Er
0.245 0.250 0.896 Au
0.255 0.750 0.396 Au
0.745 0.250 0.604 Au
0.755 0.750 0.104 Au
```

Results
* energy: -57.45 eV for the cell shown
* space-group type: No. 62

=====

# AlH3NCl3

AlH3NCl3 after structural relaxation (PBE-GGA, the Materials Project).

POSCAR file:
```
AlH3NCl3
1.0
10.109 0.000 0.000
0.000 10.422 0.000
0.000 0.000 11.735
Al H N Cl
8 24 8 24
direct
0.177 0.098 0.170 Al
0.177 0.402 0.670 Al
0.323 0.598 0.170 Al
0.323 0.902 0.670 Al
0.677 0.098 0.330 Al
0.677 0.402 0.830 Al
0.823 0.598 0.330 Al
0.823 0.902 0.830 Al
0.013 0.749 0.856 H
0.013 0.751 0.356 H
0.037 0.204 0.017 H
0.037 0.296 0.517 H
0.119 0.184 0.586 H
0.119 0.316 0.086 H
0.381 0.684 0.586 H
0.381 0.816 0.086 H
0.463 0.704 0.017 H
0.463 0.796 0.517 H
0.487 0.249 0.856 H
0.487 0.251 0.356 H
0.513 0.749 0.644 H
0.513 0.751 0.144 H
0.537 0.204 0.483 H
0.537 0.296 0.983 H
0.619 0.184 0.914 H
0.619 0.316 0.414 H
0.881 0.684 0.914 H
0.881 0.816 0.414 H
0.963 0.704 0.483 H
0.963 0.796 0.983 H
0.987 0.249 0.644 H
0.987 0.251 0.144 H
0.069 0.230 0.097 N
0.069 0.270 0.597 N
0.431 0.730 0.097 N
0.431 0.770 0.597 N
0.569 0.230 0.403 N
0.569 0.270 0.903 N
0.931 0.730 0.403 N
0.931 0.770 0.903 N
0.054 0.570 0.669 Cl
0.054 0.930 0.169 Cl
0.150 0.574 0.067 Cl
0.150 0.926 0.567 Cl
0.222 0.175 0.334 Cl
0.222 0.325 0.834 Cl
0.278 0.675 0.334 Cl
0.278 0.825 0.834 Cl
0.350 0.074 0.067 Cl
0.350 0.426 0.567 Cl
0.446 0.070 0.669 Cl
0.446 0.430 0.169 Cl
0.554 0.570 0.831 Cl
0.554 0.930 0.331 Cl
0.650 0.574 0.433 Cl
0.650 0.926 0.933 Cl
0.722 0.175 0.166 Cl
0.722 0.325 0.666 Cl
0.778 0.675 0.166 Cl
0.778 0.825 0.666 Cl
0.850 0.074 0.433 Cl
0.850 0.426 0.933 Cl
0.946 0.070 0.831 Cl
0.946 0.430 0.331 Cl
```

Results
* total energy after the MP2020 corrections: -0.1751 hartree per atom
* energy: -290.23 eV for the cell shown
* size of the total moment: 0.00 μB/f.u.
* space-group type: No. 61

=====

# Na5Sc3GeP6O24

Na5Sc3GeP6O24 after structural relaxation (PBE-GGA, the Materials Project).

POSCAR file:
```
Na5Sc3GeP6O24
1.0
8.880 0.000 0.000
-4.436 7.695 0.000
-0.003 -0.003 22.388
Na Sc Ge P O
15 9 3 18 72
direct
0.000 0.000 0.000 Na
0.000 0.013 0.498 Na
0.012 0.650 0.741 Na
0.013 0.373 0.244 Na
0.344 0.679 0.654 Na
0.346 0.048 0.914 Na
0.347 0.312 0.414 Na
0.355 0.678 0.159 Na
0.367 0.008 0.244 Na
0.373 0.375 0.741 Na
0.648 0.012 0.741 Na
0.677 0.345 0.329 Na
0.678 0.357 0.829 Na
0.976 0.309 0.914 Na
0.976 0.680 0.414 Na
0.001 0.010 0.346 Sc
0.004 0.004 0.849 Sc
0.010 0.011 0.140 Sc
0.011 0.012 0.638 Sc
0.346 0.678 0.811 Sc
0.352 0.680 0.309 Sc
0.678 0.339 0.479 Sc
0.678 0.345 0.671 Sc
0.678 0.352 0.979 Sc
0.346 0.679 0.017 Ge
0.347 0.680 0.514 Ge
0.677 0.351 0.175 Ge
0.009 0.304 0.746 P
0.059 0.393 0.413 P
0.059 0.679 0.915 P
0.305 0.014 0.746 P
0.313 0.306 0.243 P
0.345 0.392 0.914 P
0.345 0.966 0.412 P
0.380 0.356 0.575 P
0.389 0.047 0.077 P
0.631 0.963 0.915 P
0.632 0.681 0.415 P
0.667 0.037 0.577 P
0.668 0.634 0.078 P
0.717 0.020 0.241 P
0.719 0.718 0.744 P
0.976 0.355 0.077 P
0.986 0.643 0.575 P
0.999 0.709 0.243 P
0.006 0.824 0.581 O
0.036 0.833 0.191 O
0.040 0.216 0.693 O
0.047 0.212 0.408 O
0.047 0.846 0.911 O
0.136 0.651 0.856 O
0.137 0.499 0.355 O
0.160 0.526 0.072 O
0.162 0.685 0.249 O
0.168 0.656 0.569 O
0.172 0.489 0.750 O
0.177 0.981 0.409 O
0.178 0.210 0.911 O
0.183 0.483 0.467 O
0.183 0.711 0.969 O
0.185 0.982 0.693 O
0.191 0.216 0.190 O
0.199 0.195 0.581 O
0.208 0.025 0.084 O
0.226 0.043 0.804 O
0.239 0.195 0.301 O
0.312 0.842 0.467 O
0.313 0.484 0.968 O
0.327 0.851 0.751 O
0.330 0.487 0.249 O
0.366 0.524 0.569 O
0.367 0.887 0.354 O
0.368 0.492 0.855 O
0.375 0.863 0.073 O
0.468 0.330 0.520 O
0.470 0.154 0.021 O
0.488 0.178 0.739 O
0.490 0.382 0.633 O
0.496 0.317 0.234 O
0.498 0.648 0.072 O
0.498 0.856 0.569 O
0.502 0.151 0.418 O
0.502 0.364 0.919 O
0.507 0.137 0.135 O
0.520 0.649 0.359 O
0.526 0.888 0.857 O
0.531 0.865 0.248 O
0.535 0.697 0.750 O
0.538 0.846 0.970 O
0.543 0.708 0.471 O
0.636 0.514 0.134 O
0.639 0.116 0.635 O
0.651 0.147 0.919 O
0.653 0.518 0.419 O
0.693 0.156 0.524 O
0.695 0.551 0.023 O
0.698 0.534 0.738 O
0.701 0.191 0.234 O
0.803 0.835 0.690 O
0.803 0.992 0.187 O
0.817 0.842 0.409 O
0.817 0.989 0.911 O
0.827 0.815 0.085 O
0.828 0.016 0.582 O
0.831 0.799 0.800 O
0.833 0.057 0.297 O
0.836 0.522 0.234 O
0.845 0.324 0.739 O
0.869 0.329 0.021 O
0.872 0.556 0.520 O
0.879 0.377 0.419 O
0.880 0.514 0.919 O
0.887 0.384 0.134 O
0.903 0.533 0.633 O
0.971 0.785 0.302 O
0.980 0.197 0.804 O
0.998 0.196 0.084 O
```

Results
* total energy after the MP2020 corrections: -0.2779 hartree per atom
* energy: -835.32 eV for the cell shown
* size of the total moment: 0.00 μB/f.u.
* space-group type: No. 1

=====

# K2TaNbO6

K2TaNbO6 after structural relaxation (PBE-GGA, the Materials Project).

POSCAR file:
```
K2TaNbO6
1.0
4.052 0.000 0.000
0.000 4.052 0.000
0.000 0.000 8.100
K Ta Nb O
2 1 1 6
direct
0.000 0.000 0.249 K
0.000 0.000 0.751 K
0.500 0.500 0.500 Ta
0.500 0.500 0.000 Nb
0.000 0.500 0.000 O
0.000 0.500 0.500 O
0.500 0.000 0.000 O
0.500 0.000 0.500 O
0.500 0.500 0.252 O
0.500 0.500 0.748 O
```

Results
* total energy after the MP2020 corrections: -0.3067 hartree per atom
* energy: -79.34 eV for the cell shown
* size of the total moment: 0.00 μB/f.u.
* space-group type: No. 123

=====

# NaSc2Ge2P3S3O24

NaSc2Ge2P3S3O24 after structural relaxation (PBE-GGA, the Materials Project).

POSCAR file:
```
NaSc2Ge2P3S3O24
1.0
8.567 0.000 0.000
4.277 7.439 0.000
0.183 0.023 22.323
Na Sc Ge P S O
3 6 6 9 9 72
direct
0.000 0.000 0.000 Na
0.015 0.979 0.497 Na
0.335 0.326 0.332 Na
0.004 0.996 0.853 Sc
0.013 0.999 0.150 Sc
0.014 0.984 0.645 Sc
0.025 0.981 0.351 Sc
0.343 0.325 0.475 Sc
0.351 0.316 0.973 Sc
0.345 0.336 0.185 Ge
0.356 0.320 0.678 Ge
0.665 0.677 0.520 Ge
0.681 0.655 0.311 Ge
0.685 0.658 0.815 Ge
0.687 0.646 0.020 Ge
0.012 0.294 0.249 P
0.317 0.690 0.249 P
0.356 0.609 0.580 P
0.400 0.935 0.414 P
0.632 0.031 0.581 P
0.632 0.330 0.081 P
0.682 0.928 0.917 P
0.952 0.659 0.415 P
0.957 0.377 0.916 P
0.015 0.684 0.749 S
0.049 0.332 0.583 S
0.051 0.613 0.081 S
0.316 0.991 0.749 S
0.355 0.027 0.081 S
0.398 0.660 0.915 S
0.682 0.376 0.416 S
0.708 0.295 0.749 S
0.711 0.990 0.249 S
0.029 0.792 0.088 O
0.031 0.172 0.592 O
0.048 0.764 0.802 O
0.053 0.174 0.304 O
0.130 0.499 0.136 O
0.133 0.364 0.638 O
0.137 0.366 0.922 O
0.139 0.491 0.419 O
0.161 0.531 0.028 O
0.163 0.295 0.530 O
0.176 0.502 0.739 O
0.187 0.309 0.237 O
0.194 0.797 0.591 O
0.195 0.765 0.304 O
0.196 0.003 0.088 O
0.202 0.023 0.802 O
0.212 0.954 0.411 O
0.220 0.822 0.909 O
0.233 0.804 0.193 O
0.236 0.956 0.696 O
0.316 0.529 0.527 O
0.320 0.140 0.028 O
0.332 0.155 0.740 O
0.336 0.498 0.240 O
0.381 0.501 0.920 O
0.383 0.109 0.136 O
0.386 0.120 0.418 O
0.388 0.491 0.639 O
0.475 0.694 0.970 O
0.477 0.822 0.473 O
0.498 0.826 0.757 O
0.504 0.668 0.260 O
0.508 0.629 0.859 O
0.511 0.362 0.139 O
0.512 0.113 0.640 O
0.515 0.846 0.358 O
0.516 0.112 0.922 O
0.518 0.360 0.419 O
0.520 0.847 0.074 O
0.526 0.311 0.740 O
0.527 0.153 0.241 O
0.531 0.620 0.573 O
0.546 0.301 0.026 O
0.548 0.148 0.527 O
0.644 0.506 0.074 O
0.648 0.850 0.858 O
0.650 0.842 0.575 O
0.653 0.483 0.360 O
0.687 0.478 0.758 O
0.692 0.829 0.256 O
0.708 0.456 0.471 O
0.714 0.811 0.974 O
0.786 0.181 0.802 O
0.787 0.027 0.302 O
0.818 0.011 0.591 O
0.819 0.166 0.089 O
0.821 0.959 0.195 O
0.823 0.216 0.696 O
0.836 0.457 0.972 O
0.841 0.683 0.474 O
0.842 0.197 0.411 O
0.847 0.482 0.259 O
0.849 0.667 0.757 O
0.854 0.942 0.910 O
0.869 0.627 0.076 O
0.869 0.629 0.358 O
0.871 0.493 0.576 O
0.873 0.489 0.857 O
0.965 0.831 0.411 O
0.975 0.191 0.909 O
0.976 0.213 0.194 O
0.979 0.800 0.696 O
```

Results
* total energy after the MP2020 corrections: -0.2698 hartree per atom
* energy: -721.51 eV for the cell shown
* size of the total moment: 0.00 μB/f.u.
* space-group type: No. 1

=====

# Na3MgZr3P5SO24

Na3MgZr3P5SO24 after structural relaxation (PBE-GGA, the Materials Project).

POSCAR file:
```
Na3MgZr3P5SO24
1.0
8.917 0.000 0.000
4.451 7.732 0.000
0.035 0.066 23.045
Na Mg Zr P S O
9 3 9 15 3 72
direct
0.000 0.000 0.000 Na
0.003 0.991 0.507 Na
0.035 0.645 0.915 Na
0.334 0.326 0.334 Na
0.338 0.303 0.831 Na
0.365 0.981 0.250 Na
0.656 0.640 0.677 Na
0.675 0.621 0.174 Na
0.980 0.655 0.597 Na
0.002 0.973 0.861 Mg
0.330 0.310 0.694 Mg
0.342 0.307 0.196 Mg
0.000 0.970 0.362 Zr
0.000 0.971 0.658 Zr
0.337 0.301 0.490 Zr
0.346 0.292 0.989 Zr
0.659 0.638 0.028 Zr
0.661 0.640 0.529 Zr
0.671 0.639 0.823 Zr
0.673 0.634 0.322 Zr
0.997 0.978 0.155 Zr
0.006 0.266 0.258 P
0.010 0.671 0.763 P
0.045 0.305 0.594 P
0.292 0.676 0.258 P
0.336 0.592 0.596 P
0.337 0.012 0.097 P
0.369 0.643 0.924 P
0.374 0.933 0.423 P
0.622 0.016 0.596 P
0.624 0.306 0.095 P
0.668 0.344 0.426 P
0.673 0.929 0.925 P
0.704 0.976 0.259 P
0.960 0.342 0.926 P
0.962 0.638 0.428 P
0.045 0.594 0.093 S
0.292 0.977 0.761 S
0.705 0.262 0.761 S
0.018 0.763 0.817 O
0.021 0.145 0.600 O
0.022 0.152 0.312 O
0.026 0.769 0.096 O
0.123 0.342 0.646 O
0.131 0.488 0.143 O
0.135 0.340 0.933 O
0.140 0.516 0.037 O
0.143 0.475 0.431 O
0.152 0.280 0.538 O
0.167 0.491 0.756 O
0.167 0.776 0.600 O
0.169 0.278 0.254 O
0.174 0.989 0.097 O
0.185 0.770 0.313 O
0.189 0.801 0.921 O
0.192 0.991 0.813 O
0.193 0.951 0.422 O
0.202 0.796 0.206 O
0.205 0.960 0.708 O
0.306 0.510 0.541 O
0.312 0.499 0.254 O
0.318 0.126 0.756 O
0.319 0.126 0.043 O
0.350 0.479 0.931 O
0.354 0.090 0.153 O
0.358 0.112 0.430 O
0.359 0.488 0.650 O
0.463 0.657 0.979 O
0.466 0.812 0.762 O
0.470 0.671 0.263 O
0.472 0.819 0.476 O
0.476 0.847 0.367 O
0.484 0.618 0.871 O
0.490 0.624 0.587 O
0.500 0.830 0.088 O
0.505 0.328 0.431 O
0.507 0.109 0.930 O
0.517 0.098 0.650 O
0.519 0.329 0.149 O
0.522 0.133 0.257 O
0.534 0.292 0.039 O
0.535 0.279 0.756 O
0.540 0.120 0.540 O
0.648 0.840 0.871 O
0.651 0.453 0.371 O
0.653 0.464 0.088 O
0.656 0.826 0.589 O
0.686 0.435 0.480 O
0.687 0.440 0.763 O
0.688 0.809 0.263 O
0.690 0.816 0.979 O
0.796 0.164 0.813 O
0.800 0.986 0.313 O
0.806 0.140 0.096 O
0.811 0.988 0.600 O
0.812 0.179 0.708 O
0.815 0.954 0.205 O
0.832 0.165 0.422 O
0.836 0.943 0.921 O
0.838 0.659 0.763 O
0.841 0.446 0.263 O
0.849 0.435 0.980 O
0.861 0.468 0.586 O
0.861 0.655 0.485 O
0.864 0.623 0.375 O
0.867 0.616 0.089 O
0.872 0.463 0.873 O
0.979 0.802 0.423 O
0.981 0.176 0.204 O
0.983 0.164 0.919 O
0.990 0.785 0.707 O
```

Results
* total energy after the MP2020 corrections: -0.2889 hartree per atom
* energy: -823.29 eV for the cell shown
* size of the total moment: 0.00 μB/f.u.
* space-group type: No. 1